DFT (PBE) results for crystalline Na5La2Ga2P5SO24 at its relaxed geometry.

Cell lengths 9.1657, 9.0639, 22.9886 Å; angles 90.97, 89.56, 120.16 degrees
Fractional coordinates of all 117 atoms:
1 Na 0.6296 0.0032 0.2503
2 Na 0.9984 0.3562 0.7493
3 Na 0.3554 0.9984 0.7500
4 Na 0.0358 0.6975 0.5708
5 Na 0.6619 0.9666 0.5760
6 Na 0.3077 0.9793 0.0931
7 Na 0.0226 0.3308 0.0919
8 Na 0.9727 0.6648 0.9231
9 Na 0.6956 0.6700 0.4126
10 Na 0.0288 0.0248 0.4884
11 Na 0.9948 0.0062 0.0105
12 Na 0.6542 0.3239 0.8358
13 Na 0.6840 0.3385 0.3317
14 Na 0.3405 0.6461 0.1723
15 Na 0.3508 0.6509 0.6631
16 La 0.9966 0.0136 0.8593
17 La 0.0019 0.9978 0.6425
18 La 0.6668 0.3519 0.6787
19 La 0.6605 0.3231 0.9981
20 La 0.3236 0.6598 0.4959
21 La 0.3504 0.6696 0.8219
22 Ga 0.9802 0.9860 0.3412
23 Ga 0.9908 0.0008 0.1579
24 Ga 0.6805 0.3669 0.1791
25 Ga 0.6781 0.3243 0.4783
26 Ga 0.3327 0.6733 0.0259
27 Ga 0.3117 0.6555 0.3163
28 P 0.7017 0.7034 0.2493
29 P 0.9999 0.2926 0.2509
30 P 0.3081 0.3061 0.7505
31 P 0.0021 0.6908 0.7533
32 P 0.6893 0.0010 0.7445
33 P 0.9637 0.3352 0.5766
34 P 0.3755 0.0408 0.5735
35 P 0.6675 0.6302 0.5652
36 P 0.9769 0.6501 0.0875
37 P 0.6690 0.0249 0.0935
38 P 0.3538 0.3287 0.0926
39 P 0.0445 0.3780 0.9292
40 P 0.3279 0.9607 0.9274
41 P 0.6448 0.9772 0.4085
42 P 0.0214 0.6725 0.4107
43 S 0.2869 0.9930 0.2513
44 S 0.6347 0.6690 0.9307
45 S 0.3269 0.3486 0.4054
46 O 0.1920 0.0070 0.3012
47 O 0.8026 0.7717 0.3071
48 O 0.9643 0.1631 0.2998
49 O 0.2046 0.2144 0.8047
50 O 0.0069 0.7932 0.8083
51 O 0.7932 0.9955 0.7960
52 O 0.7735 0.0045 0.6856
53 O 0.2180 0.2041 0.6952
54 O 0.9945 0.7769 0.6965
55 O 0.7976 0.8331 0.2008
56 O 0.0322 0.2198 0.1933
57 O 0.1951 0.9739 0.1960
58 O 0.8973 0.3421 0.6383
59 O 0.4476 0.1096 0.6351
60 O 0.6625 0.5528 0.6246
61 O 0.8745 0.5023 0.1320
62 O 0.6289 0.1218 0.1436
63 O 0.4869 0.3640 0.1411
64 O 0.4071 0.2755 0.0362
65 O 0.8883 0.5994 0.0284
66 O 0.7248 0.1341 0.0384
67 O 0.4908 0.1561 0.5246
68 O 0.6622 0.5178 0.5123
69 O 0.8471 0.3401 0.5290
70 O 0.5213 0.6572 0.9777
71 O 0.1562 0.4919 0.9807
72 O 0.3416 0.8566 0.9786
73 O 0.5885 0.8747 0.4655
74 O 0.2899 0.3924 0.4641
75 O 0.1050 0.7093 0.4711
76 O 0.1324 0.6411 0.3657
77 O 0.5152 0.8761 0.3581
78 O 0.3584 0.4906 0.3639
79 O 0.1238 0.4488 0.8689
80 O 0.3257 0.8814 0.8668
81 O 0.5729 0.6757 0.8719
82 O 0.0015 0.8299 0.3973
83 O 0.8205 0.9929 0.3972
84 O 0.1804 0.1808 0.3903
85 O 0.0154 0.1975 0.9373
86 O 0.1577 0.9569 0.9348
87 O 0.8041 0.8239 0.9388
88 O 0.9665 0.1674 0.5682
89 O 0.1952 0.0126 0.5677
90 O 0.8375 0.8026 0.5618
91 O 0.0030 0.8273 0.1049
92 O 0.8227 0.0021 0.1052
93 O 0.1758 0.1689 0.1047
94 O 0.6778 0.1648 0.7534
95 O 0.4804 0.3177 0.7576
96 O 0.8518 0.5077 0.7588
97 O 0.6865 0.5250 0.2375
98 O 0.8372 0.3080 0.2446
99 O 0.4603 0.1444 0.2500
100 O 0.6596 0.5186 0.9278
101 O 0.8750 0.3776 0.9282
102 O 0.4808 0.1428 0.9257
103 O 0.6623 0.1570 0.4171
104 O 0.4871 0.3449 0.4064
105 O 0.8408 0.5095 0.4137
106 O 0.3308 0.4872 0.0854
107 O 0.1558 0.6638 0.0848
108 O 0.5006 0.8509 0.0839
109 O 0.3617 0.8620 0.5706
110 O 0.5196 0.6655 0.5655
111 O 0.1390 0.4977 0.5729
112 O 0.3067 0.8356 0.2563
113 O 0.5246 0.6911 0.2551
114 O 0.1617 0.4724 0.2617
115 O 0.3201 0.4807 0.7445
116 O 0.1660 0.6801 0.7487
117 O 0.5076 0.8477 0.7428

Results
E: -261.23 eV/f.u.
ΔE_f: -10152 kJ/mol of formula units

DFT (PBE) results for crystalline LaB2O4F at its relaxed geometry.

Cell lengths 7.4213, 8.3043, 12.7701 Å; angles 90.00, 90.00, 90.00 degrees
Fractional coordinates of all 64 atoms:
1 La 0.2477 0.6136 0.4756
2 La 0.7523 0.1136 0.0244
3 La 0.2523 0.3864 0.9756
4 La 0.7477 0.8864 0.5244
5 La 0.7523 0.3864 0.5244
6 La 0.2477 0.8864 0.9756
7 La 0.7477 0.6136 0.0244
8 La 0.2523 0.1136 0.4756
9 B 0.3448 0.6593 0.1722
10 B 0.6552 0.1593 0.3278
11 B 0.1552 0.3407 0.6722
12 B 0.8448 0.8407 0.8278
13 B 0.6552 0.3407 0.8278
14 B 0.3448 0.8407 0.6722
15 B 0.8448 0.6593 0.3278
16 B 0.1552 0.1593 0.1722
17 B 0.2614 0.9097 0.2712
18 B 0.7386 0.4097 0.2288
19 B 0.2386 0.0903 0.7712
20 B 0.7614 0.5903 0.7288
21 B 0.7386 0.0903 0.7288
22 B 0.2614 0.5903 0.7712
23 B 0.7614 0.9097 0.2288
24 B 0.2386 0.4097 0.2712
25 O 0.4261 0.6027 0.0858
26 O 0.5739 0.1027 0.4142
27 O 0.0739 0.3973 0.5858
28 O 0.9261 0.8973 0.9142
29 O 0.5739 0.3973 0.9142
30 O 0.4261 0.8973 0.5858
31 O 0.9261 0.6027 0.4142
32 O 0.0739 0.1027 0.0858
33 O 0.3087 0.8263 0.1796
34 O 0.6913 0.3263 0.3204
35 O 0.1913 0.1737 0.6796
36 O 0.8087 0.6737 0.8204
37 O 0.6913 0.1737 0.8204
38 O 0.3087 0.6737 0.6796
39 O 0.8087 0.8263 0.3204
40 O 0.1913 0.3263 0.1796
41 O 0.2924 0.5697 0.2588
42 O 0.7076 0.0697 0.2412
43 O 0.2076 0.4303 0.7588
44 O 0.7924 0.9303 0.7412
45 O 0.7076 0.4303 0.7412
46 O 0.2924 0.9303 0.7588
47 O 0.7924 0.5697 0.2412
48 O 0.2076 0.0697 0.2588
49 O 0.2728 0.8572 0.3697
50 O 0.7272 0.3572 0.1303
51 O 0.2272 0.1428 0.8697
52 O 0.7728 0.6428 0.6303
53 O 0.7272 0.1428 0.6303
54 O 0.2728 0.6428 0.8697
55 O 0.7728 0.8572 0.1303
56 O 0.2272 0.3572 0.3697
57 F 0.0671 0.6344 0.0483
58 F 0.9329 0.1344 0.4517
59 F 0.4329 0.3656 0.5483
60 F 0.5671 0.8656 0.9517
61 F 0.9329 0.3656 0.9517
62 F 0.0671 0.8656 0.5483
63 F 0.5671 0.6344 0.4517
64 F 0.4329 0.1344 0.0483

Results
E: -64.03 eV/f.u.
ΔE_f: -2629 kJ/mol of formula units

Number 1: energy with MP2020 corrections -7.1209 eV/atom. Number 2: energy with MP2020 corrections -8.4056 eV/atom.